# CaTi3V5O16 | the Materials Project | GGA+U | relaxed
data_CaTi3V5O16
_space_group_name_H-M_alt 'P 1'
_space_group_IT_number 1
_space_group_name_Hall 'P 1'
_cell_length_a 5.925
_cell_length_b 6.014
_cell_length_c 10.572
_cell_angle_alpha 88.82
_cell_angle_beta 89.56
_cell_angle_gamma 61.67
loop_
_atom_site_label
_atom_site_type_symbol
_atom_site_fract_x
_atom_site_fract_y
_atom_site_fract_z
Ca1 Ca 0.000 0.000 0.000
Ti1 Ti 0.094 0.646 0.288
Ti2 Ti 0.510 0.508 0.752
Ti3 Ti 0.707 0.315 0.276
V1 V 0.007 0.005 0.695
V2 V 0.019 0.496 0.720
V3 V 0.338 0.005 0.271
V4 V 0.503 0.005 0.737
V5 V 0.644 0.700 0.485
O1 O 0.019 0.018 0.328
O2 O 0.152 0.165 0.812
O3 O 0.170 0.681 0.818
O4 O 0.326 0.353 0.641
O5 O 0.357 0.920 0.121
O6 O 0.365 0.822 0.624
O7 O 0.370 0.317 0.247
O8 O 0.442 0.642 0.357
O9 O 0.581 0.982 0.410
O10 O 0.688 0.655 0.827
O11 O 0.692 0.168 0.817
O12 O 0.774 0.341 0.123
O13 O 0.805 0.389 0.619
O14 O 0.831 0.821 0.625
O15 O 0.915 0.492 0.372
O16 O 0.945 0.751 0.146
# E (eV/atom): -8.03
# Magnetic moment (Bohr magnetons per cell): 7.0
# V (Å³/atom): 13.262

# CaTi3V5O16 | the Materials Project | GGA+U | relaxed
data_CaTi3V5O16
_space_group_name_H-M_alt 'P 1'
_space_group_IT_number 1
_space_group_name_Hall 'P 1'
_cell_length_a 6.003
_cell_length_b 6.036
_cell_length_c 9.417
_cell_angle_alpha 90.38
_cell_angle_beta 90.45
_cell_angle_gamma 119.65
loop_
_atom_site_label
_atom_site_type_symbol
_atom_site_fract_x
_atom_site_fract_y
_atom_site_fract_z
Ca1 Ca 0.000 0.000 0.000
Ti1 Ti 0.499 0.990 0.816
Ti2 Ti 0.774 0.136 0.340
Ti3 Ti 0.993 0.502 0.814
V1 V 0.314 0.203 0.349
V2 V 0.330 0.670 0.114
V3 V 0.490 0.487 0.826
V4 V 0.842 0.668 0.327
V5 V 0.995 0.993 0.600
O1 O 0.138 0.871 0.456
O2 O 0.142 0.300 0.460
O3 O 0.184 0.787 0.949
O4 O 0.208 0.394 0.949
O5 O 0.312 0.147 0.734
O6 O 0.320 0.657 0.717
O7 O 0.481 0.004 0.228
O8 O 0.495 0.516 0.231
O9 O 0.600 0.804 0.951
O10 O 0.662 0.347 0.434
O11 O 0.663 0.325 0.923
O12 O 0.704 0.864 0.456
O13 O 0.817 0.660 0.729
O14 O 0.833 0.153 0.730
O15 O 0.988 0.016 0.231
O16 O 0.991 0.522 0.225
# E (eV/atom): -8.09
# Magnetic moment (Bohr magnetons per cell): 3.0
# V (Å³/atom): 11.860

# Ca2TiWO6 | the Materials Project | GGA+U | relaxed
data_Ca2TiWO6
_space_group_name_H-M_alt 'P 1 21/c 1'
_space_group_IT_number 14
_space_group_name_Hall '-P 2ybc'
_cell_length_a 5.489
_cell_length_b 5.604
_cell_length_c 9.562
_cell_angle_alpha 90.00
_cell_angle_beta 124.84
_cell_angle_gamma 90.00
loop_
_atom_site_label
_atom_site_type_symbol
_atom_site_fract_x
_atom_site_fract_y
_atom_site_fract_z
Ca1 Ca 0.239 0.050 0.251
Ti1 Ti 0.500 0.000 0.000
W1 W 0.000 0.000 0.500
O1 O 0.159 0.203 0.954
O2 O 0.261 0.712 0.955
O3 O 0.345 0.024 0.755
# E (eV/atom): -7.68
# Magnetic moment (Bohr magnetons per cell): 4.0
# V (Å³/atom): 12.072

# Ca2TiWO6 | the Materials Project | GGA+U | relaxed
data_Ca2TiWO6
_space_group_name_H-M_alt 'C 1 m 1'
_space_group_IT_number 8
_space_group_name_Hall 'C -2y'
_cell_length_a 9.731
_cell_length_b 5.552
_cell_length_c 5.749
_cell_angle_alpha 90.00
_cell_angle_beta 125.27
_cell_angle_gamma 90.00
loop_
_atom_site_label
_atom_site_type_symbol
_atom_site_fract_x
_atom_site_fract_y
_atom_site_fract_z
Ca1 Ca 0.000 0.000 0.000
Ca2 Ca 0.001 0.500 0.496
Ti1 Ti 0.249 0.000 0.701
W1 W 0.249 0.500 0.198
O1 O 0.005 0.000 0.448
O2 O 0.246 0.241 0.442
O3 O 0.253 0.253 0.933
O4 O 0.495 0.000 0.916
# E (eV/atom): -7.58
# Magnetic moment (Bohr magnetons per cell): 4.0
# V (Å³/atom): 12.679

# CaV4O6 | the Materials Project | GGA+U | relaxed
data_CaV4O6
_space_group_name_H-M_alt 'C 1 m 1'
_space_group_IT_number 8
_space_group_name_Hall 'C -2y'
_cell_length_a 10.158
_cell_length_b 3.079
_cell_length_c 15.525
_cell_angle_alpha 90.00
_cell_angle_beta 90.71
_cell_angle_gamma 90.00
loop_
_atom_site_label
_atom_site_type_symbol
_atom_site_fract_x
_atom_site_fract_y
_atom_site_fract_z
Ca1 Ca 0.000 0.000 0.000
Ca2 Ca 0.200 0.500 0.496
V1 V 0.212 0.000 0.291
V2 V 0.215 0.000 0.703
V3 V 0.249 0.500 0.112
V4 V 0.251 0.500 0.878
V5 V 0.448 0.500 0.382
V6 V 0.450 0.500 0.614
V7 V 0.485 0.000 0.793
V8 V 0.488 0.000 0.206
O1 O 0.030 0.000 0.499
O2 O 0.073 0.500 0.337
O3 O 0.073 0.500 0.663
O4 O 0.121 0.000 0.831
O5 O 0.126 0.000 0.162
O6 O 0.168 0.500 0.000
O7 O 0.321 0.000 0.407
O8 O 0.322 0.000 0.589
O9 O 0.353 0.500 0.251
O10 O 0.355 0.500 0.744
O11 O 0.379 0.000 0.091
O12 O 0.383 0.000 0.907
# E (eV/atom): -7.70
# Magnetic moment (Bohr magnetons per cell): 2.4
# V (Å³/atom): 11.033

# CaV5O7 | the Materials Project | GGA+U | relaxed
data_CaV5O7
_space_group_name_H-M_alt 'P 1 m 1'
_space_group_IT_number 6
_space_group_name_Hall 'P -2y'
_cell_length_a 3.105
_cell_length_b 18.005
_cell_length_c 5.358
_cell_angle_alpha 90.00
_cell_angle_beta 106.81
_cell_angle_gamma 90.00
loop_
_atom_site_label
_atom_site_type_symbol
_atom_site_fract_x
_atom_site_fract_y
_atom_site_fract_z
Ca1 Ca 0.000 0.000 0.000
Ca2 Ca 0.418 0.500 0.837
V1 V 0.213 0.253 0.425
V2 V 0.483 0.177 0.966
V3 V 0.669 0.401 0.338
V4 V 0.751 0.099 0.503
V5 V 0.937 0.320 0.874
O1 O 0.041 0.421 0.084
O2 O 0.126 0.141 0.251
O3 O 0.300 0.363 0.596
O4 O 0.378 0.078 0.755
O5 O 0.579 0.290 0.157
O6 O 0.669 0.000 0.337
O7 O 0.749 0.500 0.499
O8 O 0.841 0.209 0.681
# E (eV/atom): -7.73
# Magnetic moment (Bohr magnetons per cell): 5.8
# V (Å³/atom): 11.027

# Ca3V10O25 | the Materials Project | GGA+U | relaxed
data_Ca3V10O25
_space_group_name_H-M_alt 'P 1'
_space_group_IT_number 1
_space_group_name_Hall 'P 1'
_cell_length_a 6.306
_cell_length_b 9.173
_cell_length_c 18.102
_cell_angle_alpha 86.11
_cell_angle_beta 88.18
_cell_angle_gamma 78.84
loop_
_atom_site_label
_atom_site_type_symbol
_atom_site_fract_x
_atom_site_fract_y
_atom_site_fract_z
Ca1 Ca 0.000 0.000 0.000
Ca2 Ca 0.008 0.011 0.669
Ca3 Ca 0.390 0.997 0.569
Ca4 Ca 0.549 0.000 0.380
Ca5 Ca 0.743 0.004 0.184
Ca6 Ca 0.788 0.011 0.846
V1 V 0.016 0.346 0.880
V2 V 0.025 0.656 0.104
V3 V 0.161 0.346 0.340
V4 V 0.180 0.661 0.563
V5 V 0.216 0.347 0.679
V6 V 0.232 0.665 0.903
V7 V 0.361 0.348 0.141
V8 V 0.376 0.661 0.362
V9 V 0.422 0.354 0.477
V10 V 0.424 0.666 0.702
V11 V 0.563 0.344 0.940
V12 V 0.565 0.657 0.164
V13 V 0.620 0.349 0.279
V14 V 0.643 0.646 0.503
V15 V 0.752 0.366 0.737
V16 V 0.779 0.661 0.963
V17 V 0.817 0.352 0.080
V18 V 0.836 0.658 0.303
V19 V 0.972 0.343 0.539
V20 V 0.976 0.652 0.764
O1 O 0.030 0.153 0.552
O2 O 0.055 0.395 0.773
O3 O 0.065 0.157 0.894
O4 O 0.079 0.637 0.996
O5 O 0.091 0.409 0.110
O6 O 0.102 0.610 0.332
O7 O 0.106 0.849 0.565
O8 O 0.122 0.370 0.443
O9 O 0.145 0.612 0.672
O10 O 0.161 0.853 0.900
O11 O 0.219 0.162 0.344
O12 O 0.251 0.396 0.571
O13 O 0.273 0.642 0.800
O14 O 0.292 0.159 0.677
O15 O 0.296 0.391 0.910
O16 O 0.311 0.846 0.355
O17 O 0.317 0.374 0.245
O18 O 0.323 0.606 0.135
O19 O 0.342 0.611 0.470
O20 O 0.369 0.856 0.690
O21 O 0.412 0.164 0.145
O22 O 0.451 0.398 0.369
O23 O 0.483 0.404 0.709
O24 O 0.484 0.642 0.594
O25 O 0.500 0.617 0.933
O26 O 0.504 0.163 0.483
O27 O 0.511 0.841 0.156
O28 O 0.519 0.371 0.045
O29 O 0.543 0.611 0.268
O30 O 0.593 0.840 0.491
O31 O 0.630 0.156 0.945
O32 O 0.652 0.392 0.171
O33 O 0.681 0.636 0.393
O34 O 0.683 0.419 0.507
O35 O 0.688 0.159 0.286
O36 O 0.713 0.589 0.736
O37 O 0.714 0.370 0.848
O38 O 0.728 0.851 0.950
O39 O 0.741 0.613 0.073
O40 O 0.783 0.848 0.296
O41 O 0.798 0.169 0.745
O42 O 0.847 0.400 0.973
O43 O 0.874 0.633 0.199
O44 O 0.886 0.844 0.755
O45 O 0.891 0.400 0.309
O46 O 0.894 0.162 0.091
O47 O 0.911 0.607 0.533
O48 O 0.913 0.369 0.648
O49 O 0.946 0.607 0.872
O50 O 0.982 0.847 0.103
# E (eV/atom): -7.49
# Magnetic moment (Bohr magnetons per cell): 12.0
# V (Å³/atom): 13.483

# Ca2V3O8 | the Materials Project | GGA+U | relaxed
data_Ca2V3O8
_space_group_name_H-M_alt 'P 63 m c'
_space_group_IT_number 186
_space_group_name_Hall 'P 6c -2c'
_cell_length_a 6.0438
_cell_length_b 6.0438
_cell_length_c 10.6096
_cell_angle_alpha 90.00
_cell_angle_beta 90.00
_cell_angle_gamma 120.00
loop_
_atom_site_label
_atom_site_type_symbol
_atom_site_fract_x
_atom_site_fract_y
_atom_site_fract_z
Ca1 Ca 0.3333 0.6667 0.0000
Ca2 Ca 0.3333 0.6667 0.4056
V1 V 0.1635 0.3269 0.7199
O1 O 0.0000 0.0000 0.3182
O2 O 0.0468 0.5234 0.8233
O3 O 0.1536 0.3072 0.1280
O4 O 0.3333 0.6667 0.6193
# E (eV/atom): -7.40
# Magnetic moment (Bohr magnetons per cell): 6.0
# V (Å³/atom): 12.909